Record 1
A relaxed Ba2YMn3O7 crystal. Source: the Materials Project database, functional PBE with a Hubbard U.

Cell: 5.653 12.516 5.653 Å, 77.51 92.40 77.51°
Sites, in units of the cell vectors:
Mn 0.172 0.655 0.172
Mn 0.500 0.001 0.500
Mn 0.001 0.999 0.001
Mn 0.831 0.339 0.830
Mn 0.673 0.653 0.673
Mn 0.324 0.352 0.324
Y 0.249 0.501 0.749
Y 0.749 0.501 0.249
O 0.939 0.620 0.441
O 0.083 0.835 0.083
O 0.442 0.618 0.442
O 0.940 0.618 0.940
O 0.414 0.173 0.414
O 0.762 0.000 0.238
O 0.066 0.382 0.066
O 0.585 0.830 0.585
O 0.548 0.380 0.072
O 0.552 0.382 0.552
O 0.441 0.620 0.939
O 0.238 0.000 0.762
O 0.072 0.380 0.548
O 0.918 0.164 0.918
Ba 0.911 0.178 0.411
Ba 0.090 0.820 0.590
Ba 0.590 0.820 0.090
Ba 0.411 0.178 0.911

Total moment (μB per cell): 26.6
Excess energy over the best structure of this formula in the dataset (meV/atom): 2
ΔE_f (eV per atom): -2.640

Record 2
A relaxed Li2V3P9O28 crystal. Source: the Materials Project database, functional PBE with a Hubbard U.

Cell: 7.064 9.164 9.286 Å, 111.48 109.82 98.88°
Sites, in units of the cell vectors:
O 0.616 0.660 0.207
O 0.914 0.339 0.583
O 0.918 0.909 0.128
O 0.321 0.878 0.054
O 0.419 0.903 0.618
O 0.679 0.122 0.946
O 0.423 0.642 0.390
O 0.726 0.545 0.430
O 0.581 0.097 0.382
O 0.086 0.661 0.417
O 0.969 0.650 0.934
O 0.214 0.144 0.477
O 0.274 0.455 0.570
O 0.760 0.175 0.702
O 0.736 0.794 0.804
O 0.137 0.692 0.742
O 0.384 0.340 0.793
O 0.280 0.564 0.952
O 0.031 0.350 0.066
O 0.615 0.630 0.937
O 0.577 0.358 0.610
O 0.863 0.308 0.258
O 0.240 0.825 0.298
O 0.786 0.856 0.523
O 0.385 0.370 0.063
O 0.264 0.206 0.196
O 0.082 0.091 0.872
O 0.720 0.436 0.048
Li 0.794 0.046 0.278
Li 0.206 0.954 0.722
P 0.500 0.500 0.000
P 0.653 0.678 0.392
P 0.347 0.322 0.608
P 0.809 0.298 0.080
P 0.191 0.245 0.046
P 0.809 0.755 0.954
P 0.191 0.702 0.920
P 0.712 0.236 0.567
P 0.288 0.764 0.433
V 0.260 0.016 0.256
V 0.740 0.984 0.744
V 0.000 0.500 0.500

Total moment (μB per cell): 6.0
ΔE_f (eV per atom): -2.626

Record 3
A relaxed Cu4Mo5O17 crystal. Source: the Materials Project database, functional PBE with a Hubbard U.

Cell: 6.856 9.640 11.099 Å, 105.86 92.03 110.06°
Sites, in units of the cell vectors:
O 0.217 0.164 0.011
O 0.624 0.429 0.038
O 0.735 0.009 0.329
O 0.662 0.250 0.696
O 0.141 0.847 0.869
O 0.455 0.916 0.097
O 0.265 0.991 0.671
O 0.025 0.663 0.064
O 0.301 0.250 0.822
O 0.098 0.012 0.209
O 0.161 0.329 0.348
O 0.203 0.618 0.501
O 0.376 0.571 0.962
O 0.338 0.750 0.304
O 0.503 0.748 0.763
O 0.497 0.252 0.237
O 0.797 0.382 0.499
O 0.451 0.401 0.629
O 0.975 0.337 0.936
O 0.047 0.171 0.586
O 0.360 0.095 0.460
O 0.953 0.829 0.414
O 0.902 0.988 0.791
O 0.783 0.836 0.989
O 0.744 0.581 0.843
O 0.699 0.750 0.178
O 0.545 0.084 0.903
O 0.064 0.502 0.731
O 0.549 0.599 0.371
O 0.936 0.498 0.269
O 0.839 0.671 0.652
O 0.256 0.419 0.157
O 0.859 0.153 0.131
O 0.640 0.905 0.540
Cu 0.314 0.546 0.625
Cu 0.254 0.712 0.925
Cu 0.787 0.097 0.701
Cu 0.924 0.224 0.445
Cu 0.746 0.288 0.075
Cu 0.686 0.454 0.375
Cu 0.076 0.776 0.555
Cu 0.213 0.903 0.299
Mo 0.206 0.557 0.329
Mo 0.243 0.377 0.973
Mo 0.794 0.443 0.671
Mo 0.775 0.792 0.800
Mo 0.719 0.962 0.149
Mo 0.225 0.208 0.200
Mo 0.757 0.623 0.027
Mo 0.317 0.188 0.611
Mo 0.281 0.038 0.851
Mo 0.683 0.812 0.389

Total moment (μB per cell): 0.0
ΔE_f (eV per atom): -1.614

Record 4
A relaxed TiMnP2O8 crystal. Source: the Materials Project database, functional PBE with a Hubbard U.

Cell: 5.018 11.777 11.778 Å, 118.21 90.63 89.37°
Sites, in units of the cell vectors:
O 0.689 0.893 0.060
O 0.358 0.098 0.151
O 0.814 0.951 0.299
O 0.864 0.146 0.604
O 0.265 0.061 0.383
O 0.311 0.607 0.440
O 0.186 0.549 0.201
O 0.735 0.133 0.811
O 0.642 0.402 0.349
O 0.689 0.190 0.357
O 0.735 0.633 0.311
O 0.311 0.810 0.643
O 0.265 0.367 0.689
O 0.689 0.690 0.857
O 0.311 0.107 0.940
O 0.254 0.324 0.426
O 0.746 0.676 0.574
O 0.735 0.439 0.117
O 0.735 0.939 0.617
O 0.311 0.310 0.143
O 0.746 0.176 0.074
O 0.186 0.049 0.701
O 0.814 0.451 0.799
O 0.136 0.354 0.896
O 0.642 0.902 0.849
O 0.136 0.854 0.396
O 0.358 0.598 0.651
O 0.265 0.867 0.189
O 0.254 0.824 0.926
O 0.265 0.561 0.883
O 0.689 0.393 0.560
O 0.864 0.646 0.104
Mn 0.031 0.739 0.011
Mn 0.031 0.239 0.511
Mn 0.969 0.261 0.989
Mn 0.969 0.761 0.489
Ti 0.530 0.015 0.235
Ti 0.470 0.985 0.765
Ti 0.530 0.515 0.735
Ti 0.470 0.485 0.265
P 0.447 0.172 0.077
P 0.889 0.572 0.178
P 0.553 0.828 0.923
P 0.447 0.672 0.577
P 0.553 0.327 0.423
P 0.111 0.428 0.822
P 0.889 0.072 0.678
P 0.111 0.928 0.322

Total moment (μB per cell): 0.0
Excess energy over the best structure of this formula in the dataset (meV/atom): 15
ΔE_f (eV per atom): -2.842

Record 5
A relaxed MgMnP2O7 crystal. Source: the Materials Project database, functional PBE with a Hubbard U.

Cell: 7.146 10.002 8.439 Å, 94.13 112.85 104.07°
Sites, in units of the cell vectors:
O 0.486 0.916 0.162
O 0.856 0.158 0.792
O 0.872 0.966 0.300
O 0.855 0.658 0.292
O 0.340 0.604 0.018
O 0.145 0.342 0.708
O 0.863 0.170 0.095
O 0.340 0.104 0.518
O 0.863 0.670 0.595
O 0.708 0.639 0.889
O 0.137 0.330 0.405
O 0.660 0.896 0.482
O 0.128 0.034 0.700
O 0.660 0.396 0.982
O 0.771 0.433 0.397
O 0.229 0.067 0.103
O 0.229 0.567 0.603
O 0.514 0.584 0.338
O 0.872 0.466 0.800
O 0.771 0.933 0.897
O 0.708 0.139 0.389
O 0.292 0.861 0.611
O 0.486 0.416 0.662
O 0.292 0.361 0.111
O 0.144 0.842 0.208
O 0.137 0.830 0.905
O 0.514 0.084 0.838
O 0.128 0.534 0.200
P 0.758 0.085 0.908
P 0.693 0.986 0.351
P 0.242 0.915 0.092
P 0.242 0.415 0.592
P 0.307 0.014 0.649
P 0.693 0.486 0.851
P 0.758 0.585 0.408
P 0.307 0.514 0.149
Mg 0.119 0.630 0.795
Mg 0.881 0.870 0.705
Mg 0.119 0.130 0.295
Mg 0.881 0.370 0.205
Mn 0.786 0.789 0.099
Mn 0.787 0.289 0.599
Mn 0.214 0.211 0.901
Mn 0.213 0.711 0.401

Total moment (μB per cell): 0.0
Excess energy over the best structure of this formula in the dataset (meV/atom): 29
ΔE_f (eV per atom): -2.755

Record 6
A relaxed Ni8B3SbO15 crystal. Source: the Materials Project database, functional PBE with a Hubbard U.

Cell: 6.213 8.152 11.192 Å, 104.50 94.15 102.16°
Sites, in units of the cell vectors:
B 0.940 0.650 0.241
B 0.060 0.350 0.759
B 0.607 0.318 0.241
B 0.393 0.682 0.759
B 0.726 0.019 0.763
B 0.274 0.981 0.237
O 0.802 0.745 0.297
O 0.587 0.412 0.910
O 0.735 0.920 0.094
O 0.827 0.072 0.469
O 0.530 0.586 0.703
O 0.265 0.080 0.906
O 0.906 0.597 0.104
O 0.757 0.070 0.897
O 0.436 0.929 0.298
O 0.508 0.262 0.529
O 0.094 0.403 0.896
O 0.159 0.405 0.469
O 0.173 0.928 0.531
O 0.139 0.079 0.297
O 0.243 0.930 0.103
O 0.919 0.734 0.906
O 0.492 0.738 0.471
O 0.198 0.255 0.703
O 0.896 0.403 0.705
O 0.861 0.921 0.703
O 0.104 0.597 0.295
O 0.470 0.414 0.297
O 0.770 0.263 0.295
O 0.841 0.595 0.531
O 0.575 0.268 0.104
O 0.230 0.737 0.705
O 0.413 0.588 0.090
O 0.081 0.266 0.094
O 0.425 0.732 0.896
O 0.564 0.071 0.702
Ni 0.500 0.000 0.500
Ni 0.500 0.500 0.500
Ni 0.451 0.671 0.289
Ni 0.549 0.329 0.711
Ni 0.833 0.325 0.998
Ni 0.834 0.333 0.500
Ni 0.167 0.165 0.498
Ni 0.000 0.000 0.000
Ni 0.118 0.332 0.286
Ni 0.882 0.668 0.714
Ni 0.833 0.835 0.502
Ni 0.167 0.675 0.002
Ni 0.784 0.001 0.286
Ni 0.166 0.667 0.500
Ni 0.216 0.999 0.714
Ni 0.500 0.000 0.000
Sb 0.325 0.325 0.000
Sb 0.675 0.675 0.000

Total moment (μB per cell): 32.0
ΔE_f (eV per atom): -1.767

Record 7
A relaxed Ca3W2O7 crystal. Source: the Materials Project database, functional PBE with a Hubbard U.

Cell: 10.274 10.274 5.793 Å, 90.00 90.00 148.03°
Sites, in units of the cell vectors:
Ca 0.243 0.243 0.301
Ca 0.046 0.427 0.196
Ca 0.573 0.954 0.696
Ca 0.954 0.573 0.696
Ca 0.757 0.757 0.801
Ca 0.427 0.046 0.196
W 0.352 0.150 0.751
W 0.850 0.648 0.251
W 0.648 0.850 0.251
W 0.150 0.352 0.751
O 0.648 0.648 0.208
O 0.960 0.362 0.786
O 0.031 0.870 0.560
O 0.432 0.671 0.942
O 0.329 0.568 0.442
O 0.568 0.329 0.442
O 0.040 0.638 0.286
O 0.130 0.969 0.060
O 0.969 0.130 0.060
O 0.362 0.960 0.786
O 0.638 0.040 0.286
O 0.870 0.031 0.560
O 0.671 0.432 0.942
O 0.352 0.352 0.708

Total moment (μB per cell): 8.0
ΔE_f (eV per atom): -2.731

Record 8
A relaxed Li2FeF4 crystal. Source: the Materials Project database, functional PBE with a Hubbard U.

Cell: 7.492 8.790 17.869 Å, 60.89 90.00 90.00°
Sites, in units of the cell vectors:
Li 0.734 0.859 0.588
Li 0.347 0.845 0.089
Li 0.257 0.543 0.573
Li 0.252 0.808 0.770
Li 0.743 0.457 0.427
Li 0.757 0.457 0.927
Li 0.266 0.141 0.412
Li 0.243 0.543 0.073
Li 0.330 0.478 0.423
Li 0.169 0.178 0.741
Li 0.153 0.845 0.589
Li 0.653 0.155 0.911
Li 0.170 0.478 0.923
Li 0.748 0.192 0.230
Li 0.830 0.522 0.077
Li 0.847 0.155 0.411
Li 0.752 0.192 0.730
Li 0.234 0.141 0.912
Li 0.766 0.859 0.088
Li 0.831 0.822 0.259
Li 0.669 0.822 0.759
Li 0.331 0.178 0.241
Li 0.670 0.522 0.577
Li 0.248 0.808 0.270
F 0.911 0.276 0.469
F 0.810 0.328 0.291
F 0.268 0.379 0.034
F 0.033 0.673 0.039
F 0.100 0.716 0.867
F 0.739 0.936 0.469
F 0.275 0.390 0.855
F 0.749 0.953 0.811
F 0.035 0.739 0.332
F 0.210 0.396 0.195
F 0.427 0.078 0.352
F 0.947 0.934 0.620
F 0.310 0.672 0.209
F 0.251 0.047 0.189
F 0.775 0.610 0.645
F 0.411 0.724 0.031
F 0.690 0.328 0.791
F 0.589 0.276 0.969
F 0.232 0.379 0.534
F 0.190 0.672 0.709
F 0.290 0.396 0.695
F 0.790 0.604 0.805
F 0.535 0.261 0.168
F 0.900 0.284 0.133
F 0.447 0.066 0.880
F 0.927 0.922 0.148
F 0.053 0.066 0.380
F 0.249 0.047 0.689
F 0.732 0.621 0.966
F 0.073 0.078 0.852
F 0.533 0.327 0.461
F 0.751 0.953 0.311
F 0.467 0.673 0.539
F 0.225 0.390 0.355
F 0.725 0.610 0.145
F 0.465 0.739 0.832
F 0.573 0.922 0.648
F 0.553 0.934 0.120
F 0.400 0.716 0.367
F 0.089 0.724 0.531
F 0.768 0.621 0.466
F 0.239 0.064 0.031
F 0.965 0.261 0.668
F 0.967 0.327 0.961
F 0.261 0.064 0.531
F 0.761 0.936 0.969
F 0.600 0.284 0.633
F 0.710 0.604 0.305
Fe 0.447 0.162 0.586
Fe 0.553 0.838 0.414
Fe 0.953 0.553 0.735
Fe 0.053 0.162 0.086
Fe 0.547 0.553 0.235
Fe 0.956 0.824 0.415
Fe 0.456 0.176 0.085
Fe 0.047 0.447 0.265
Fe 0.044 0.176 0.585
Fe 0.544 0.824 0.915
Fe 0.947 0.838 0.914
Fe 0.453 0.447 0.765

Total moment (μB per cell): 48.0
Excess energy over the best structure of this formula in the dataset (meV/atom): 76
ΔE_f (eV per atom): -2.823

| no. | mass density (g/cm³) |
| --- | --- |
| 1 | 5.6 |
| 2 | 3.0 |
| 3 | 5.1 |
| 4 | 3.2 |
| 5 | 3.2 |
| 6 | 5.4 |
| 7 | 6.2 |
| 8 | 2.8 |